Computed, not measured: a relaxed structure of Tb3Ni7B2 at the PBE level of DFT.

Results
- Formation energy: -0.495 eV/atom
- Crystal system: hexagonal
- Theoretical density: 9.45 g cm⁻³

Lattice parameters (Å, degrees): 5.0775 5.0775 14.3127 90.00 90.00 120.00
With the nearest neighbours (Å) after each atom.
Space group P6_3/mmc (No. 194)
Inequivalent atoms, fractional coordinates:
Tb: 0.3333 0.6667 0.0309 x4  12 Ni 2.96-3.05, 4 Tb 3.06-3.14
Tb: 0.3333 0.6667 0.2500 x2  12 Ni 2.92, 6 B 2.93, 2 Tb 3.14
Ni: 0.0000 0.0000 0.0000 x2  6 Ni 2.59
Ni: 0.1660 0.3320 0.6496 x12  2 B 2.05-2.06
B: 0.0000 0.0000 0.2500 x2  6 Ni 2.05
B: 0.3333 0.6667 0.7500 x2  6 Ni 2.06